Record 1
This record from the Materials Project database describes K8Ti4C16O45 after structural relaxation. The functional is PBE-GGA.

a = 9.933 Å, b = 11.283 Å, c = 11.687 Å
α = 67.71°, β = 86.77°, γ = 78.63°
Sites, in units of the cell vectors:
K (0.000, 0.000, 0.000)
K (0.025, 0.091, 0.393)
K (0.081, 0.627, 0.057)
K (0.269, 0.458, 0.783)
K (0.313, 0.786, 0.261)
K (0.678, 0.201, 0.761)
K (0.731, 0.547, 0.226)
K (0.917, 0.369, 0.953)
Ti (0.336, 0.185, 0.544)
Ti (0.457, 0.096, 0.288)
Ti (0.545, 0.891, 0.728)
Ti (0.665, 0.802, 0.472)
C (0.085, 0.144, 0.679)
C (0.147, 0.231, 0.731)
C (0.213, 0.150, 0.140)
C (0.251, 0.286, 0.109)
C (0.266, 0.457, 0.356)
C (0.309, 0.768, 0.821)
C (0.327, 0.828, 0.920)
C (0.420, 0.430, 0.402)
C (0.582, 0.557, 0.612)
C (0.674, 0.161, 0.096)
C (0.696, 0.214, 0.198)
C (0.735, 0.530, 0.657)
C (0.750, 0.703, 0.907)
C (0.787, 0.839, 0.876)
C (0.860, 0.760, 0.287)
C (0.917, 0.850, 0.339)
O (0.024, 0.891, 0.300)
O (0.096, 0.255, 0.820)
O (0.105, 0.138, 0.101)
O (0.159, 0.119, 0.591)
O (0.179, 0.386, 0.033)
O (0.209, 0.358, 0.410)
O (0.218, 0.564, 0.275)
O (0.230, 0.690, 0.839)
O (0.242, 0.884, 0.487)
O (0.243, 0.820, 0.005)
O (0.253, 0.271, 0.670)
O (0.302, 0.054, 0.215)
O (0.357, 0.281, 0.169)
O (0.369, 0.119, 0.420)
O (0.386, 0.805, 0.726)
O (0.435, 0.879, 0.901)
O (0.457, 0.065, 0.660)
O (0.457, 0.164, 0.926)
O (0.459, 0.317, 0.489)
O (0.492, 0.513, 0.353)
O (0.492, 0.519, 0.048)
O (0.509, 0.474, 0.660)
O (0.514, 0.468, 0.971)
O (0.538, 0.822, 0.093)
O (0.544, 0.669, 0.523)
O (0.546, 0.924, 0.353)
O (0.565, 0.110, 0.114)
O (0.612, 0.185, 0.289)
O (0.627, 0.867, 0.595)
O (0.645, 0.707, 0.846)
O (0.697, 0.934, 0.801)
O (0.755, 0.717, 0.347)
O (0.756, 0.171, 0.009)
O (0.776, 0.177, 0.507)
O (0.786, 0.293, 0.470)
O (0.786, 0.422, 0.735)
O (0.787, 0.279, 0.188)
O (0.791, 0.630, 0.605)
O (0.819, 0.603, 0.986)
O (0.839, 0.878, 0.422)
O (0.891, 0.852, 0.919)
O (0.913, 0.737, 0.198)
O (0.977, 0.106, 0.718)
O (0.985, 0.362, 0.328)
O (0.990, 0.576, 0.719)

Output
Space-group type: P1, No. 1
E in eV/atom: -6.9437

Record 2
This record from the Materials Project database describes KTmC2O6 after structural relaxation. The functional is PBE-GGA.

a = 6.355 Å, b = 6.355 Å, c = 6.960 Å
α = 103.84°, β = 103.84°, γ = 96.13°
Sites, in units of the cell vectors:
K (0.120, 0.880, 0.750)
K (0.880, 0.120, 0.250)
Tm (0.404, 0.596, 0.250)
Tm (0.596, 0.404, 0.750)
C (0.146, 0.391, 0.745)
C (0.391, 0.146, 0.245)
C (0.609, 0.854, 0.755)
C (0.854, 0.609, 0.255)
O (0.059, 0.605, 0.278)
O (0.218, 0.252, 0.618)
O (0.252, 0.218, 0.118)
O (0.299, 0.533, 0.897)
O (0.395, 0.941, 0.222)
O (0.467, 0.701, 0.603)
O (0.533, 0.299, 0.397)
O (0.605, 0.059, 0.778)
O (0.701, 0.467, 0.103)
O (0.748, 0.782, 0.882)
O (0.782, 0.748, 0.382)
O (0.941, 0.395, 0.722)

Output
Space-group type: C2/c, No. 15
E in eV/atom: -7.5422

Record 3
This record from the Materials Project database describes K4UC2O11 after structural relaxation. The functional is PBE-GGA.

a = 7.125 Å, b = 9.295 Å, c = 19.422 Å
α = 90.00°, β = 109.65°, γ = 90.00°
Sites, in units of the cell vectors:
K (0.118, 0.012, 0.416)
K (0.118, 0.488, 0.916)
K (0.205, 0.181, 0.802)
K (0.205, 0.319, 0.302)
K (0.220, 0.591, 0.484)
K (0.220, 0.909, 0.984)
K (0.293, 0.518, 0.703)
K (0.293, 0.982, 0.203)
K (0.707, 0.018, 0.797)
K (0.707, 0.482, 0.297)
K (0.780, 0.091, 0.016)
K (0.780, 0.409, 0.516)
K (0.795, 0.681, 0.698)
K (0.795, 0.819, 0.198)
K (0.882, 0.512, 0.084)
K (0.882, 0.988, 0.584)
U (0.438, 0.180, 0.613)
U (0.438, 0.320, 0.113)
U (0.562, 0.680, 0.887)
U (0.562, 0.820, 0.387)
C (0.201, 0.665, 0.310)
C (0.201, 0.835, 0.810)
C (0.397, 0.628, 0.110)
C (0.397, 0.872, 0.610)
C (0.603, 0.128, 0.390)
C (0.603, 0.372, 0.890)
C (0.799, 0.165, 0.190)
C (0.799, 0.335, 0.690)
O (0.032, 0.191, 0.910)
O (0.032, 0.309, 0.410)
O (0.045, 0.597, 0.275)
O (0.045, 0.903, 0.775)
O (0.106, 0.248, 0.543)
O (0.106, 0.252, 0.043)
O (0.211, 0.130, 0.074)
O (0.211, 0.370, 0.574)
O (0.211, 0.693, 0.812)
O (0.211, 0.807, 0.312)
O (0.252, 0.541, 0.074)
O (0.252, 0.959, 0.574)
O (0.368, 0.599, 0.349)
O (0.368, 0.901, 0.849)
O (0.375, 0.179, 0.698)
O (0.375, 0.321, 0.198)
O (0.377, 0.737, 0.614)
O (0.377, 0.763, 0.114)
O (0.431, 0.063, 0.356)
O (0.431, 0.437, 0.856)
O (0.487, 0.684, 0.970)
O (0.487, 0.816, 0.470)
O (0.513, 0.184, 0.530)
O (0.513, 0.316, 0.030)
O (0.569, 0.563, 0.144)
O (0.569, 0.937, 0.644)
O (0.623, 0.237, 0.886)
O (0.623, 0.263, 0.386)
O (0.625, 0.679, 0.802)
O (0.625, 0.821, 0.302)
O (0.632, 0.099, 0.151)
O (0.632, 0.401, 0.651)
O (0.748, 0.041, 0.426)
O (0.748, 0.459, 0.926)
O (0.789, 0.193, 0.688)
O (0.789, 0.307, 0.188)
O (0.789, 0.630, 0.426)
O (0.789, 0.870, 0.926)
O (0.894, 0.748, 0.957)
O (0.894, 0.752, 0.457)
O (0.955, 0.097, 0.225)
O (0.955, 0.403, 0.725)
O (0.968, 0.691, 0.590)
O (0.968, 0.809, 0.090)

Output
Space-group type: P2_1/c, No. 14
E in eV/atom: -6.7072

Record 4
This record from the Materials Project database describes KYC4O12 after structural relaxation. The functional is PBE-GGA.

a = 9.213 Å, b = 9.213 Å, c = 9.213 Å
α = 101.10°, β = 101.10°, γ = 127.95°
Sites, in units of the cell vectors:
K (0.375, 0.125, 0.250)
K (0.625, 0.875, 0.750)
Y (0.125, 0.375, 0.750)
Y (0.875, 0.625, 0.250)
C (0.090, 0.070, 0.478)
C (0.092, 0.612, 0.022)
C (0.112, 0.590, 0.520)
C (0.430, 0.408, 0.020)
C (0.570, 0.592, 0.980)
C (0.888, 0.410, 0.480)
C (0.908, 0.388, 0.978)
C (0.910, 0.930, 0.522)
O (0.108, 0.738, 0.127)
O (0.111, 0.982, 0.373)
O (0.121, 0.908, 0.852)
O (0.149, 0.698, 0.441)
O (0.198, 0.257, 0.549)
O (0.208, 0.649, 0.951)
O (0.230, 0.379, 0.287)
O (0.238, 0.611, 0.630)
O (0.243, 0.292, 0.941)
O (0.408, 0.056, 0.787)
O (0.444, 0.730, 0.352)
O (0.482, 0.608, 0.870)
O (0.518, 0.392, 0.130)
O (0.556, 0.270, 0.648)
O (0.592, 0.944, 0.213)
O (0.757, 0.708, 0.059)
O (0.762, 0.389, 0.370)
O (0.770, 0.621, 0.713)
O (0.792, 0.351, 0.049)
O (0.802, 0.743, 0.451)
O (0.851, 0.302, 0.559)
O (0.879, 0.092, 0.148)
O (0.889, 0.018, 0.627)
O (0.892, 0.262, 0.873)

Output
Space-group type: I4_1/a, No. 88
E in eV/atom: -6.5851

Record 5
This record from the Materials Project database describes KYC8O8 after structural relaxation. The functional is PBE-GGA.

a = 6.284 Å, b = 6.284 Å, c = 11.730 Å
α = 90.00°, β = 90.00°, γ = 90.00°
Sites, in units of the cell vectors:
K (0.000, 0.000, 0.250)
K (0.000, 0.000, 0.750)
Y (0.500, 0.500, 0.250)
Y (0.500, 0.500, 0.750)
C (0.098, 0.436, 0.063)
C (0.098, 0.436, 0.937)
C (0.098, 0.564, 0.437)
C (0.098, 0.564, 0.563)
C (0.436, 0.098, 0.437)
C (0.436, 0.098, 0.563)
C (0.436, 0.902, 0.063)
C (0.436, 0.902, 0.937)
C (0.564, 0.098, 0.063)
C (0.564, 0.098, 0.937)
C (0.564, 0.902, 0.437)
C (0.564, 0.902, 0.563)
C (0.902, 0.436, 0.437)
C (0.902, 0.436, 0.563)
C (0.902, 0.564, 0.063)
C (0.902, 0.564, 0.937)
O (0.215, 0.355, 0.139)
O (0.215, 0.355, 0.861)
O (0.215, 0.645, 0.361)
O (0.215, 0.645, 0.639)
O (0.355, 0.215, 0.361)
O (0.355, 0.215, 0.639)
O (0.355, 0.785, 0.139)
O (0.355, 0.785, 0.861)
O (0.645, 0.215, 0.139)
O (0.645, 0.215, 0.861)
O (0.645, 0.785, 0.361)
O (0.645, 0.785, 0.639)
O (0.785, 0.355, 0.361)
O (0.785, 0.355, 0.639)
O (0.785, 0.645, 0.139)
O (0.785, 0.645, 0.861)

Output
Space-group type: P4/mcc, No. 124
E in eV/atom: -7.8250

Record 6
This record from the Materials Project database describes K4ZrC8O21 after structural relaxation. The functional is PBE-GGA.

a = 10.694 Å, b = 12.334 Å, c = 16.010 Å
α = 90.00°, β = 93.67°, γ = 90.00°
Sites, in units of the cell vectors:
K (0.018, 0.057, 0.304)
K (0.018, 0.443, 0.804)
K (0.108, 0.657, 0.585)
K (0.108, 0.843, 0.085)
K (0.387, 0.650, 0.744)
K (0.387, 0.850, 0.244)
K (0.481, 0.737, 0.988)
K (0.481, 0.763, 0.488)
K (0.519, 0.237, 0.512)
K (0.519, 0.263, 0.012)
K (0.613, 0.150, 0.756)
K (0.613, 0.350, 0.256)
K (0.892, 0.157, 0.915)
K (0.892, 0.343, 0.415)
K (0.982, 0.557, 0.196)
K (0.982, 0.943, 0.696)
Zr (0.261, 0.153, 0.674)
Zr (0.261, 0.347, 0.174)
Zr (0.739, 0.653, 0.826)
Zr (0.739, 0.847, 0.326)
C (0.039, 0.142, 0.538)
C (0.039, 0.358, 0.038)
C (0.156, 0.175, 0.489)
C (0.156, 0.325, 0.989)
C (0.182, 0.092, 0.853)
C (0.182, 0.408, 0.353)
C (0.245, 0.098, 0.190)
C (0.245, 0.402, 0.690)
C (0.325, 0.116, 0.864)
C (0.325, 0.384, 0.364)
C (0.328, 0.589, 0.138)
C (0.328, 0.911, 0.638)
C (0.386, 0.120, 0.181)
C (0.386, 0.380, 0.681)
C (0.449, 0.524, 0.120)
C (0.449, 0.976, 0.620)
C (0.551, 0.024, 0.380)
C (0.551, 0.476, 0.880)
C (0.614, 0.620, 0.319)
C (0.614, 0.880, 0.819)
C (0.672, 0.089, 0.362)
C (0.672, 0.411, 0.862)
C (0.675, 0.616, 0.636)
C (0.675, 0.884, 0.136)
C (0.755, 0.598, 0.310)
C (0.755, 0.902, 0.810)
C (0.818, 0.592, 0.647)
C (0.818, 0.908, 0.147)
C (0.844, 0.675, 0.011)
C (0.844, 0.825, 0.511)
C (0.961, 0.642, 0.962)
C (0.961, 0.858, 0.462)
O (0.064, 0.127, 0.617)
O (0.064, 0.373, 0.117)
O (0.066, 0.634, 0.001)
O (0.066, 0.866, 0.501)
O (0.108, 0.642, 0.395)
O (0.108, 0.858, 0.895)
O (0.122, 0.064, 0.913)
O (0.122, 0.436, 0.413)
O (0.137, 0.106, 0.777)
O (0.137, 0.394, 0.277)
O (0.144, 0.192, 0.413)
O (0.144, 0.308, 0.913)
O (0.174, 0.718, 0.280)
O (0.174, 0.782, 0.780)
O (0.178, 0.186, 0.194)
O (0.178, 0.314, 0.694)
O (0.195, 0.694, 0.360)
O (0.195, 0.806, 0.860)
O (0.203, 0.004, 0.197)
O (0.203, 0.496, 0.697)
O (0.241, 0.529, 0.165)
O (0.241, 0.971, 0.665)
O (0.245, 0.603, 0.912)
O (0.245, 0.897, 0.412)
O (0.256, 0.183, 0.538)
O (0.256, 0.317, 0.038)
O (0.319, 0.569, 0.506)
O (0.319, 0.931, 0.006)
O (0.322, 0.689, 0.126)
O (0.322, 0.811, 0.626)
O (0.370, 0.154, 0.797)
O (0.370, 0.346, 0.297)
O (0.387, 0.100, 0.932)
O (0.387, 0.400, 0.432)
O (0.410, 0.220, 0.164)
O (0.410, 0.280, 0.664)
O (0.439, 0.078, 0.636)
O (0.439, 0.422, 0.136)
O (0.457, 0.070, 0.405)
O (0.457, 0.430, 0.905)
O (0.464, 0.046, 0.191)
O (0.464, 0.454, 0.691)
O (0.536, 0.546, 0.309)
O (0.536, 0.954, 0.809)
O (0.543, 0.570, 0.095)
O (0.543, 0.930, 0.595)
O (0.561, 0.578, 0.864)
O (0.561, 0.922, 0.364)
O (0.590, 0.720, 0.336)
O (0.590, 0.780, 0.836)
O (0.613, 0.600, 0.568)
O (0.613, 0.900, 0.068)
O (0.630, 0.654, 0.703)
O (0.630, 0.846, 0.203)
O (0.678, 0.189, 0.374)
O (0.678, 0.311, 0.874)
O (0.681, 0.069, 0.994)
O (0.681, 0.431, 0.494)
O (0.744, 0.683, 0.962)
O (0.744, 0.817, 0.462)
O (0.755, 0.103, 0.588)
O (0.755, 0.397, 0.088)
O (0.759, 0.029, 0.335)
O (0.759, 0.471, 0.835)
O (0.797, 0.504, 0.303)
O (0.797, 0.996, 0.803)
O (0.805, 0.194, 0.140)
O (0.805, 0.306, 0.640)
O (0.822, 0.686, 0.306)
O (0.822, 0.814, 0.806)
O (0.826, 0.218, 0.220)
O (0.826, 0.282, 0.720)
O (0.856, 0.692, 0.087)
O (0.856, 0.808, 0.587)
O (0.863, 0.606, 0.723)
O (0.863, 0.894, 0.223)
O (0.878, 0.564, 0.587)
O (0.878, 0.936, 0.087)
O (0.892, 0.142, 0.105)
O (0.892, 0.358, 0.605)
O (0.934, 0.134, 0.499)
O (0.934, 0.366, 0.999)
O (0.936, 0.627, 0.883)
O (0.936, 0.873, 0.383)

Output
Space-group type: P2_1/c, No. 14
E in eV/atom: -6.7847

Number 1: ΔH_f (0 K) -136.6 kJ per mole of atoms. Number 2: ΔH_f (0 K) -249.1 kJ per mole of atoms. Number 3: ΔH_f (0 K) -181.6 kJ per mole of atoms. Number 4: ΔH_f (0 K) -122.8 kJ per mole of atoms. Number 5: ΔH_f (0 K) -135.9 kJ per mole of atoms. Number 6: ΔH_f (0 K) -113.4 kJ per mole of atoms.